Record 1
This record from Materials Project describes a relaxed structure of BaEuDySbO6. The functional is PBE.

Values from the calculation:
As for the energy above the most stable polymorph in this dataset: 0 meV per atom. The value obtained for the total energy is -7.71 eV/atom. As for the total magnetization: 0.700 μB/atom.

Cell: 8.4125 8.4390 8.4487 Å, 90.00 90.00 90.00°
Closest atoms and distances in Å follow each position.
Space group Pnnn (No. 48, origin choice 2)
Symmetry-distinct sites (fractional):
Ba 0.2500 0.2500 0.2500  8 O 2.74-2.98
Ba 0.2500 0.7500 0.7500  12 O 2.95-3.04
Eu 0.2500 0.2500 0.7500  4 O 2.63
Eu 0.2500 0.7500 0.2500  4 O 2.64
Dy 0.0000 0.0000 0.0000  6 O 2.24-2.26
Sb 0.0000 0.0000 0.5000  6 O 2.02
O 0.0218 0.0194 0.2631  1 Sb 2.02, 1 Dy 2.24
O 0.0335 0.7357 0.0243  1 Sb 2.02, 1 Dy 2.26
O 0.2357 0.0325 0.5277  1 Sb 2.02, 1 Dy 2.25

=====

Record 2
This record from Materials Project describes a relaxed structure of Ba2DyGaSe5. The functional is PBE.

Values from the calculation:
The value obtained for the total energy is -4.86 eV/atom. As for the total magnetization: 0.000 μB/atom.

Cell: 7.4044 8.7862 9.5431 Å, 103.52 103.10 107.39°
Closest atoms and distances in Å follow each position.
Space group P-1 (No. 2)
Symmetry-distinct sites (fractional):
Ba 0.1336 0.4780 0.2894  7 Se 3.27-3.58
Ba 0.1565 0.9890 0.2927  8 Se 3.29-3.65
Dy 0.4978 0.2300 0.9983  6 Se 2.82-3.06
Ga 0.3054 0.3718 0.6876  4 Se 2.39-2.51
Se 0.0116 0.7585 0.5075  1 Ga 2.39
Se 0.2065 0.9114 0.9451  2 Dy 2.82-2.83
Se 0.2129 0.4088 0.9275  1 Ga 2.51
Se 0.4835 0.6537 0.6877  1 Ga 2.43
Se 0.4876 0.1826 0.6852  1 Ga 2.43

=====

Record 3
This record from Materials Project describes a relaxed structure of Ba2DyGaTe5. The functional is PBE.

Values from the calculation:
The value obtained for the total energy is -4.31 eV/atom. As for the total magnetization: 0.000 μB/atom.

Cell: 4.5187 20.4114 14.3182 Å, 90.00 90.00 90.00°
Closest atoms and distances in Å follow each position.
Space group Cmc2_1 (No. 36)
Symmetry-distinct sites (fractional):
Ba 0.0000 0.1211 0.0000  7 Te 3.47-3.72
Ba 0.0000 0.1271 0.3616  7 Te 3.48-3.85
Dy 0.0000 0.2048 0.6621  6 Te 3.01-3.27
Ga 0.0000 0.4406 0.2588  4 Te 2.61-2.75
Te 0.0000 0.0450 0.6507  2 Ga 2.75
Te 0.0000 0.2964 0.0180  2 Dy 3.06
Te 0.0000 0.3129 0.3158  1 Ga 2.73
Te 0.0000 0.3519 0.6794  1 Dy 3.01
Te 0.0000 0.4984 0.9193  1 Ga 2.61

=====

Record 4
This record from Materials Project describes a relaxed structure of Ba2DyInTe5. The functional is PBE.

Values from the calculation:
The value obtained for the total energy is -4.28 eV/atom. As for the total magnetization: 0.000 μB/atom.

Cell: 4.5905 20.4972 14.3994 Å, 90.00 90.00 90.00°
Closest atoms and distances in Å follow each position.
Space group Cmc2_1 (No. 36)
Symmetry-distinct sites (fractional):
Ba 0.0000 0.1193 0.0000  7 Te 3.51-3.79
Ba 0.0000 0.1305 0.6338  7 Te 3.53-3.75
Dy 0.0000 0.2095 0.3363  6 Te 3.00-3.31
In 0.0000 0.4437 0.7524  4 Te 2.77-2.91
Te 0.0000 0.0499 0.3694  2 In 2.85
Te 0.0000 0.2921 0.9785  2 Dy 3.08
Te 0.0000 0.3100 0.6841  1 In 2.91, 2 Dy 3.20
Te 0.0000 0.3556 0.3192  1 Dy 3.00
Te 0.0000 0.4959 0.0801  1 In 2.77

=====

no.,formation enthalpy at 0 K (meV per atom)
1,-3057.5
2,-1908.1
3,-1521.1
4,-1524.0